Record 1
Entry from Materials Project: a relaxed MgZn2 crystal (PBE).

## Properties
DFT total energy = -1.503 eV per atom
ΔE_f = -0.13 eV per atom
Symmetry = No. 194
Crystal system = hexagonal

```
12
Lattice="2.108 4.082 -2.544 -2.645 0.774 4.470 7.148 -0.952 4.395" Properties=species:S:1:pos:R:3 pbc="T T T"
Zn 2.055 1.284 0.993
Zn 1.792 3.659 1.935
Zn 3.574 -0.476 2.197
Zn 0.000 0.000 0.000
Zn 3.526 0.623 6.571
Zn 4.557 2.619 5.327
Zn 4.819 0.245 4.386
Zn 3.085 3.280 -0.250
Mg 2.067 1.460 4.055
Mg 7.226 2.086 3.914
Mg -0.615 1.817 2.406
Mg 4.544 2.443 2.266
```



Record 2
Entry from Materials Project: a relaxed TiCu3O4 crystal (PBE).

## Properties
DFT total energy = -6.380 eV per atom
ΔE_f = -1.72 eV per atom
Total magnetization = 1.00 Bohr magnetons per cell
Symmetry = No. 10
Crystal system = monoclinic

```
8
Lattice="-1.733 0.239 2.435 2.659 -4.213 2.307 4.567 2.395 3.015" Properties=species:S:1:pos:R:3 pbc="T T T"
Ti 1.417 1.317 2.725
Cu 0.000 0.000 0.000
Cu 0.463 -1.987 2.371
Cu 3.613 -0.909 2.661
O 1.618 -0.687 3.065
O 3.875 -0.891 4.692
O 3.318 1.361 2.228
O 3.907 -3.179 3.094
```



Record 3
Entry from Materials Project: a relaxed Na2Ta3InSi2P4O24 crystal (PBE).

## Properties
DFT total energy = -7.842 eV per atom
ΔE_f = -2.96 eV per atom
Total magnetization = 0.00 Bohr magnetons per cell
Symmetry = No. 1
Crystal system = triclinic

```
108
Lattice="8.824 0.000 0.002 -4.412 7.656 -0.005 0.005 -0.011 22.913" Properties=species:S:1:pos:R:3 pbc="T T T"
Si 1.840 2.561 1.929
Si 2.533 5.081 20.987
Si -1.283 2.909 20.989
Si 6.970 2.563 13.394
Si -1.239 7.286 20.998
Si 1.290 7.312 9.540
O 5.993 2.317 12.069
O 1.623 5.003 13.110
O 3.799 6.164 13.540
O 5.598 3.966 3.173
O -1.581 5.370 17.305
O -1.604 5.191 10.797
O 3.476 6.396 20.771
O 2.808 2.320 0.608
O 6.041 2.443 5.570
O 7.919 1.205 13.555
O 3.777 4.084 12.123
O 4.911 1.110 9.732
O 1.610 5.344 22.291
O 0.655 1.480 15.921
O 2.867 7.480 9.551
O -0.560 3.618 5.866
O -1.027 6.300 5.873
O 0.885 6.408 10.838
O 5.136 6.215 18.433
O -3.363 6.331 9.509
O 0.685 1.544 9.506
O 5.421 3.805 9.743
O 5.456 1.228 0.663
O 3.850 1.099 21.187
O 5.028 4.096 17.172
O 0.554 3.573 17.294
O -0.583 3.583 22.285
O 3.524 1.152 5.609
O 1.590 0.160 13.527
O 1.558 5.333 5.881
O 7.763 1.429 7.009
O -1.001 3.832 19.659
O -0.582 6.590 19.661
O -0.641 1.508 4.483
O 3.377 1.242 12.122
O 3.225 3.938 14.637
O -0.709 6.561 13.098
O 5.952 2.743 21.209
O 3.703 6.033 7.015
O -1.018 6.368 22.301
O 3.487 3.782 21.199
O 5.014 6.181 2.077
O 0.890 1.201 2.094
O 5.079 0.841 3.178
O 2.798 7.459 15.926
O 1.747 0.190 7.024
O -2.789 7.446 4.493
O 5.053 4.094 0.665
O -3.433 6.327 15.922
O 3.405 6.327 4.488
O 7.245 0.154 2.072
O 1.047 6.317 17.296
O 1.600 4.846 19.660
O -0.603 1.438 20.768
O 2.624 2.886 3.260
O 0.994 3.795 8.289
O -0.837 3.809 13.099
O 6.178 2.894 14.723
O -1.616 5.025 1.660
O 7.223 0.096 18.434
O 2.770 2.319 17.118
O 2.831 2.869 9.746
O 0.685 6.564 1.664
O 0.696 3.639 10.798
O -2.848 7.468 20.768
O -1.639 4.846 8.287
O 0.907 1.335 18.429
O 3.706 4.019 5.627
O 3.775 0.839 14.633
O 0.598 6.570 8.227
O 0.831 3.831 1.678
O 5.415 1.203 17.152
Na 4.408 2.549 7.488
Na 0.005 0.002 0.022
Na 0.023 5.069 3.767
Na 4.383 7.649 11.321
Na 4.429 2.545 19.063
Na -0.026 5.068 15.279
Ta 0.010 -0.007 19.640
Ta 0.013 5.130 7.111
Ta 4.380 2.528 22.413
Ta 0.008 0.016 3.353
Ta 4.458 2.517 10.955
Ta 0.000 5.091 18.629
Ta 8.812 0.005 14.771
Ta 0.011 5.083 0.439
Ta 0.018 5.101 11.910
P 3.139 4.751 13.365
P -2.518 5.088 9.546
P -1.862 7.650 5.760
P 3.139 0.329 13.365
P 5.696 4.777 1.907
P -3.135 5.465 17.193
P 1.288 2.924 9.548
P 1.883 7.625 17.199
P 1.259 2.191 17.191
P 5.691 0.320 1.907
P 7.536 2.224 5.749
P 3.149 5.428 5.750
In 8.802 0.003 8.130
In 4.435 2.558 15.735
In 4.393 2.558 4.203
```



Record 4
Entry from Materials Project: a relaxed CeSe2 crystal (PBE).

## Properties
DFT total energy = -5.388 eV per atom
ΔE_f = -1.39 eV per atom
Total magnetization = 0.01 Bohr magnetons per cell
Symmetry = No. 11
Crystal system = monoclinic

```
96
Lattice="-1.850 7.224 10.249 -15.406 -11.781 3.368 21.959 -22.957 20.144" Properties=species:S:1:pos:R:3 pbc="T T T"
Se 10.212 -23.593 31.493
Se 5.397 -28.669 30.611
Se 3.178 -14.660 20.010
Se 10.994 -22.832 27.181
Se -10.100 -7.943 13.433
Se -2.982 -1.941 5.434
Se -4.909 -17.894 21.157
Se -6.924 -17.660 10.117
Se -0.694 1.155 3.150
Se -6.835 -14.936 13.658
Se 3.307 -25.804 27.878
Se -4.556 -11.698 21.000
Se 10.998 -15.593 16.839
Se -10.134 -14.304 7.172
Se -0.045 -23.692 25.731
Se -11.936 -3.982 14.230
Se 4.748 -3.822 8.030
Se 5.342 -10.767 19.676
Se -14.562 -7.591 13.852
Se -0.511 -13.935 17.568
Se 11.292 -16.910 21.103
Se 7.685 -25.573 28.327
Se 7.010 -7.003 15.048
Se 8.354 -31.569 23.551
Se 15.082 -16.283 23.354
Se 5.213 -13.579 16.193
Se -6.295 -11.921 16.923
Se -7.727 -14.736 20.122
Se 12.621 -19.845 24.260
Se 14.802 -19.571 20.329
Se -1.186 1.566 7.529
Se 11.538 -12.578 20.103
Se -9.963 -6.999 5.532
Se 19.265 -19.923 19.909
Se -0.639 -16.747 14.086
Se -7.918 -7.669 9.501
Se 12.430 -12.778 13.639
Se 6.322 -6.372 19.359
Se 14.666 -20.515 28.229
Se -3.651 4.055 10.210
Se 7.650 -14.647 19.700
Se -10.097 -3.914 8.775
Se 1.525 -12.854 13.751
Se 5.249 -10.546 12.985
Se 14.837 -13.210 26.589
Se -0.310 -12.592 21.840
Se 6.527 -7.075 10.591
Se -2.308 -20.511 18.714
Se 5.888 -29.080 26.233
Se 1.395 -1.710 5.884
Se -5.510 -3.921 2.268
Se -1.824 -20.439 23.170
Se 14.799 -23.600 24.987
Se -2.947 -12.867 14.062
Se 5.013 -14.922 11.921
Se -0.546 -16.968 20.776
Se 9.611 -9.620 12.605
Se 9.259 -15.816 12.762
Se 11.627 -9.854 23.644
Se 16.639 -23.532 19.532
Se -1.619 -21.142 14.402
Se -10.379 -11.231 10.407
Se -6.589 -10.604 12.658
Se -6.291 -4.682 6.581
Ce -6.839 -12.208 19.591
Ce 13.441 -18.170 22.249
Ce 7.110 -8.556 12.811
Ce 13.271 -21.682 26.185
Ce -8.335 -16.763 12.284
Ce 10.190 -24.716 28.995
Ce -8.738 -9.344 11.512
Ce -12.146 -6.660 14.722
Ce -0.846 -19.118 12.736
Ce -10.875 -8.634 3.536
Ce 13.038 -10.751 21.478
Ce -0.642 -14.119 14.847
Ce 11.541 -15.306 14.171
Ce -11.299 -13.665 9.565
Ce 6.006 -31.476 24.942
Ce -1.303 3.962 8.819
Ce 15.578 -18.880 30.225
Ce -5.659 -12.563 14.337
Ce 16.002 -13.849 24.196
Ce 16.848 -20.854 19.039
Ce -0.862 -0.221 5.497
Ce -3.171 -21.882 16.524
Ce -5.487 -2.798 4.766
Ce 7.873 -5.632 17.237
Ce 5.344 -13.395 18.914
Ce 10.361 -14.951 19.424
Ce -2.408 -18.958 20.950
Ce 5.565 -27.293 28.264
Ce -8.568 -5.832 7.576
Ce 5.549 -8.396 21.025
Ce 0.444 -14.528 20.055
Ce 4.258 -12.986 13.707
```



Record 5
Entry from Materials Project: a relaxed Ce5Ge2Pd crystal (PBE).

## Properties
Polymorph energy (0 for the lowest one) = 0.079 eV per formula unit
DFT total energy = -6.030 eV per atom
ΔE_f = -0.52 eV per atom
Total magnetization = 10.00 Bohr magnetons per cell
Symmetry = No. 140
Crystal system = tetragonal

```
16
Lattice="-3.913 3.913 6.521 3.913 -3.913 6.521 3.913 3.913 -6.521" Properties=species:S:1:pos:R:3 pbc="T T T"
Ce 0.000 0.000 6.521
Ce 1.398 2.515 8.541
Ce 0.000 0.000 0.000
Ce 2.515 1.398 -2.020
Ce 1.398 5.311 -2.020
Ce 2.515 -1.398 4.501
Ce 2.515 1.398 2.020
Ce 1.398 2.515 4.501
Ce 2.515 -1.398 8.541
Ce 1.398 5.311 2.020
Ge 4.861 0.948 0.000
Ge 0.948 2.965 0.000
Ge 2.965 0.948 6.521
Ge -0.948 2.965 6.521
Pd 0.000 0.000 3.261
Pd 0.000 0.000 9.782
```



Record 6
Entry from Materials Project: a relaxed Ca4LaB3O10 crystal (PBE).

## Properties
DFT total energy = -7.580 eV per atom
ΔE_f = -3.38 eV per atom
Total magnetization = 0.00 Bohr magnetons per cell
Symmetry = No. 8
Crystal system = monoclinic

```
18
Lattice="8.115 4.105 0.000 -8.115 4.105 0.000 0.000 0.723 3.583" Properties=species:S:1:pos:R:3 pbc="T T T"
O -3.714 4.538 0.978
O 0.000 1.728 1.497
O -5.709 3.327 0.345
O 0.000 6.875 2.202
O -2.750 2.220 3.195
O 1.209 4.861 2.713
O -1.209 4.861 2.713
O 3.714 4.538 0.978
O 2.750 2.220 3.195
O 5.709 3.327 0.345
B 4.931 4.487 0.319
B 0.000 5.522 2.543
B -4.931 4.487 0.319
Ca 2.939 6.414 2.403
Ca 1.854 3.113 1.196
Ca -1.854 3.113 1.196
Ca -2.939 6.414 2.403
La 0.000 8.175 0.004
```



Record 7
Entry from Materials Project: a relaxed CuAs2S4O8F12 crystal (PBE).

## Properties
DFT total energy = -5.003 eV per atom
ΔE_f = -1.99 eV per atom
Total magnetization = 2.00 Bohr magnetons per cell
Symmetry = No. 14
Crystal system = monoclinic

```
54
Lattice="-2.587 -5.425 -11.769 7.434 -1.796 -0.806 0.860 -8.387 3.677" Properties=species:S:1:pos:R:3 pbc="T T T"
F 3.345 -8.716 -0.787
F 1.035 -2.757 -2.354
F 2.620 -9.916 -2.882
F 3.295 -3.406 0.304
F 1.330 -1.894 -0.010
F 0.998 -9.663 -0.995
F 5.035 -7.240 -5.779
F 4.710 -5.945 -7.903
F 2.667 -11.348 -6.844
F 2.986 -7.426 -2.908
F 2.465 -13.812 -7.269
F 4.351 -8.428 -7.888
F 4.609 -11.250 -8.476
F 1.098 -4.358 -0.422
F 4.377 -13.714 -8.888
F 2.721 -8.182 -5.991
F 1.356 -7.179 -1.011
F 2.362 -6.892 -8.111
F 0.672 -8.368 -3.119
F 2.412 -12.201 -9.202
F 4.672 -12.850 -6.545
F 3.242 -1.796 -1.629
F 3.040 -4.259 -2.055
F 3.087 -5.692 -6.016
O -0.268 -7.535 -5.835
O 1.889 -7.613 2.152
O 6.350 -9.169 -0.003
O 5.213 -10.164 -4.822
O 5.975 -8.072 -3.064
O -0.452 -13.017 -6.791
O 5.615 -5.616 -3.231
O 5.954 -4.966 0.230
O -0.247 -10.642 -9.129
O 0.092 -9.992 -5.667
O 5.352 -11.324 -2.626
O 6.159 -2.591 -2.108
O 3.818 -7.994 -11.050
O 0.355 -4.284 -6.272
O -0.643 -6.439 -8.895
O 0.494 -5.443 -4.076
S 5.547 -6.805 -2.429
S 2.490 -6.327 1.742
S -0.492 -5.075 -9.318
S 6.199 -10.533 0.420
S 3.217 -9.280 -10.641
S 0.986 -4.388 -4.986
S 0.160 -8.803 -6.469
S 4.721 -11.220 -3.912
Cu -0.864 -6.906 -4.046
Cu 0.000 0.000 0.000
As 3.702 -7.066 -6.979
As 2.171 -3.101 -1.051
As 2.006 -8.542 -1.919
As 3.537 -12.507 -7.847
```



Record 8
Entry from Materials Project: a relaxed V2H crystal (PBE).

## Properties
DFT total energy = -7.325 eV per atom
ΔE_f = -0.20 eV per atom
Symmetry = No. 12
Crystal system = monoclinic

```
3
Lattice="1.476 2.221 0.000 -1.476 2.221 0.000 0.000 0.567 4.407" Properties=species:S:1:pos:R:3 pbc="T T T"
H 0.000 0.000 0.000
V 0.000 1.350 1.183
V 0.000 3.660 3.224
```



Record 9
Entry from Materials Project: a relaxed Tb2Ce crystal (PBE).

## Properties
DFT total energy = -5.030 eV per atom
ΔE_f = 0.04 eV per atom
Symmetry = No. 166
Crystal system = trigonal

```
3
Lattice="-2.720 7.027 -4.415 -4.141 7.592 -1.215 -0.772 8.501 -1.845" Properties=species:S:1:pos:R:3 pbc="T T T"
Ce 0.000 0.000 0.000
Tb -1.702 5.155 -1.667
Tb -5.931 17.964 -5.808
```



Record 10
Entry from Materials Project: a relaxed LaBr3 crystal (PBE).

## Properties
DFT total energy = -4.484 eV per atom
ΔE_f = -2.42 eV per atom
Symmetry = No. 176
Crystal system = hexagonal

```
8
Lattice="-0.196 -4.197 -1.645 3.286 2.579 -6.972 4.787 -2.589 6.035" Properties=species:S:1:pos:R:3 pbc="T T T"
Br 2.807 -1.277 -0.169
Br 4.300 -1.575 -5.775
Br 3.577 -2.632 3.194
Br 1.548 -2.369 -3.422
Br 5.070 -2.930 -2.412
Br 6.329 -1.838 0.841
La 4.140 -4.014 0.466
La 3.737 -0.193 -3.047
```



Record 11
Entry from Materials Project: a relaxed Sr5Ca3Si4 crystal (PBE).

## Properties
DFT total energy = -3.437 eV per atom
ΔE_f = -0.40 eV per atom
Total magnetization = 0.00 Bohr magnetons per cell
Symmetry = No. 6
Crystal system = monoclinic

```
12
Lattice="-2.430 3.495 -2.605 4.282 5.758 3.731 6.381 -0.532 -6.664" Properties=species:S:1:pos:R:3 pbc="T T T"
Si 4.445 2.072 -3.756
Si 3.873 6.687 -1.811
Si -0.217 3.899 -1.737
Si 8.390 4.811 -3.762
Sr 5.472 4.929 -5.661
Sr 6.724 7.893 -2.853
Sr 2.373 4.401 -3.480
Sr 1.511 0.802 -2.724
Sr 2.745 3.800 0.147
Ca 5.850 4.312 -2.062
Ca 5.933 1.226 -6.279
Ca 2.295 7.500 0.750
```



Record 12
Entry from Materials Project: a relaxed ThN crystal (PBE).

## Properties
DFT total energy = -9.447 eV per atom
ΔE_f = -1.75 eV per atom
Symmetry = No. 225
Crystal system = cubic

```
2
Lattice="-2.063 -2.282 1.982 -1.415 1.113 3.186 -3.601 0.581 0.299" Properties=species:S:1:pos:R:3 pbc="T T T"
Th -3.540 -0.294 2.734
N 0.000 0.000 0.000
```